Record 1
Computed, not measured: a relaxed Sr2SmCu3Pb2O8 crystal at the PBE-GGA level of DFT.

a = 3.8539 Å, b = 3.8539 Å, c = 16.0842 Å
α = 90.00°, β = 90.00°, γ = 90.00°
Closest atoms and distances in Å follow each position.
Fractional positions:
Sr 0.0000 0.0000 0.2226  9 O 2.60-2.82
Sr 0.0000 0.0000 0.7774  9 O 2.60-2.82
Sm 0.0000 0.0000 0.0000  8 O 2.46
Cu 0.0000 0.0000 0.5000  2 O 1.86
Cu 0.5000 0.5000 0.1071  4 O 1.94
Cu 0.5000 0.5000 0.8929  4 O 1.94
Pb 0.5000 0.5000 0.3881  1 O 2.18
Pb 0.5000 0.5000 0.6119  1 O 2.18
O 0.0000 0.0000 0.3843  1 Cu 1.86
O 0.0000 0.0000 0.6157  1 Cu 1.86
O 0.0000 0.5000 0.0946  2 Cu 1.94
O 0.0000 0.5000 0.9054  2 Cu 1.94
O 0.5000 0.0000 0.0946  2 Cu 1.94
O 0.5000 0.0000 0.9054  2 Cu 1.94
O 0.5000 0.5000 0.2523  1 Pb 2.18, 1 Cu 2.34
O 0.5000 0.5000 0.7477  1 Pb 2.18, 1 Cu 2.34

Output
Total magnetization, μB/f.u.: 0.00
Energy of formation from the pure elements, kcal/mol of atoms: -47.29
Final energy, eV per atom: -5.920
Symmetry: No. 123
MP2020-corrected energy, eV/cell: -100.21



Record 2
Computed, not measured: a relaxed Cu3Sn4PbO12 crystal at the PBE-GGA level of DFT.

a = 6.7641 Å, b = 6.7641 Å, c = 6.7641 Å
α = 109.47°, β = 109.47°, γ = 109.47°
Closest atoms and distances in Å follow each position.
Fractional positions:
Cu 0.0000 0.5000 0.5000  4 O 1.99
Cu 0.5000 0.0000 0.5000  4 O 1.99
Cu 0.5000 0.5000 0.0000  4 O 1.99
Sn 0.0000 0.0000 0.5000  6 O 2.10
Sn 0.0000 0.5000 0.0000  6 O 2.10
Sn 0.5000 0.0000 0.0000  6 O 2.10
Sn 0.5000 0.5000 0.5000  6 O 2.10
Pb 0.0000 0.0000 0.0000  12 O 2.80
O 0.1402 0.3135 0.8266  1 Cu 1.99, 2 Sn 2.10
O 0.1734 0.4869 0.3135  1 Cu 1.99, 2 Sn 2.10
O 0.1734 0.8598 0.6865  1 Cu 1.99, 2 Sn 2.10
O 0.3135 0.1734 0.4869  1 Cu 1.99, 2 Sn 2.10
O 0.3135 0.8266 0.1402  1 Cu 1.99, 2 Sn 2.10
O 0.4869 0.3135 0.1734  1 Cu 1.99, 2 Sn 2.10
O 0.5131 0.6865 0.8266  1 Cu 1.99, 2 Sn 2.10
O 0.6865 0.1734 0.8598  1 Cu 1.99, 2 Sn 2.10
O 0.6865 0.8266 0.5131  1 Cu 1.99, 2 Sn 2.10
O 0.8266 0.1402 0.3135  1 Cu 1.99, 2 Sn 2.10
O 0.8266 0.5131 0.6865  1 Cu 1.99, 2 Sn 2.10
O 0.8598 0.6865 0.1734  1 Cu 1.99, 2 Sn 2.10

Output
Total magnetization, μB/f.u.: 2.94
Energy of formation from the pure elements, kcal/mol of atoms: -37.65
Final energy, eV per atom: -5.792
Symmetry: No. 204
MP2020-corrected energy, eV/cell: -124.08



Record 3
Computed, not measured: a relaxed Sr2YCu2PbO7 crystal at the PBE-GGA level of DFT.

a = 3.8208 Å, b = 3.8208 Å, c = 12.2871 Å
α = 90.00°, β = 90.00°, γ = 90.00°
Closest atoms and distances in Å follow each position.
Fractional positions:
Sr 0.0000 0.0000 0.2132  9 O 2.62-2.81
Sr 0.0000 0.0000 0.7868  9 O 2.62-2.81
Y 0.0000 0.0000 0.5000  8 O 2.41
Cu 0.5000 0.5000 0.3612  4 O 1.93
Cu 0.5000 0.5000 0.6388  4 O 1.93
Pb 0.5000 0.5000 0.0000  2 O 2.28
O 0.0000 0.0000 0.0000  2 Sr 2.62, 4 Pb 2.70
O 0.0000 0.5000 0.3811  2 Cu 1.93
O 0.0000 0.5000 0.6189  2 Cu 1.93
O 0.5000 0.0000 0.3811  2 Cu 1.93
O 0.5000 0.0000 0.6189  2 Cu 1.93
O 0.5000 0.5000 0.1855  1 Cu 2.16, 1 Pb 2.28
O 0.5000 0.5000 0.8145  1 Cu 2.16, 1 Pb 2.28

Output
Total magnetization, μB/f.u.: 0.06
Energy of formation from the pure elements, kcal/mol of atoms: -52.43
Final energy, eV per atom: -6.241
Symmetry: No. 123
MP2020-corrected energy, eV/cell: -85.95



Record 4
Computed, not measured: a relaxed CuTe2PbO7 crystal at the PBE-GGA level of DFT.

a = 7.2715 Å, b = 15.4498 Å, c = 5.5545 Å
α = 90.00°, β = 90.00°, γ = 90.00°
Closest atoms and distances in Å follow each position.
Fractional positions:
Cu 0.2373 0.1138 0.2500  4 O 1.96-1.98
Cu 0.2373 0.3862 0.7500  4 O 1.96-1.98
Cu 0.7627 0.6138 0.2500  4 O 1.96-1.98
Cu 0.7627 0.8862 0.7500  4 O 1.96-1.98
Te 0.0133 0.6752 0.7500  3 O 1.89-2.10
Te 0.0133 0.8248 0.2500  3 O 1.89-2.10
Te 0.4941 0.1720 0.7500  6 O 1.93-2.01
Te 0.4941 0.3280 0.2500  6 O 1.93-2.01
Te 0.5059 0.6720 0.7500  6 O 1.93-2.01
Te 0.5059 0.8280 0.2500  6 O 1.93-2.01
Te 0.9867 0.1752 0.7500  3 O 1.89-2.10
Te 0.9867 0.3248 0.2500  3 O 1.89-2.10
Pb 0.2852 0.5382 0.2500  6 O 2.60-2.90
Pb 0.2852 0.9618 0.7500  6 O 2.60-2.90
Pb 0.7148 0.0382 0.2500  6 O 2.60-2.90
Pb 0.7148 0.4618 0.7500  6 O 2.60-2.90
O 0.0436 0.1000 0.0086  1 Te 1.89, 1 Cu 1.96
O 0.0436 0.1000 0.4914  1 Te 1.89, 1 Cu 1.96
O 0.0436 0.4000 0.5086  1 Te 1.89, 1 Cu 1.96
O 0.0436 0.4000 0.9914  1 Te 1.89, 1 Cu 1.96
O 0.2610 0.2315 0.7500  1 Te 1.93
O 0.2610 0.2685 0.2500  1 Te 1.93
O 0.2679 0.6117 0.7500  2 Te 1.97-2.10
O 0.2679 0.8883 0.2500  2 Te 1.97-2.10
O 0.3942 0.7500 0.0000  2 Te 2.01
O 0.3942 0.7500 0.5000  2 Te 2.01
O 0.4220 0.0886 0.5012  1 Te 1.96, 1 Cu 1.98
O 0.4220 0.0886 0.9988  1 Te 1.96, 1 Cu 1.98
O 0.4220 0.4114 0.0012  1 Te 1.96, 1 Cu 1.98
O 0.4220 0.4114 0.4988  1 Te 1.96, 1 Cu 1.98
O 0.5780 0.5886 0.5012  1 Te 1.96, 1 Cu 1.98
O 0.5780 0.5886 0.9988  1 Te 1.96, 1 Cu 1.98
O 0.5780 0.9114 0.0012  1 Te 1.96, 1 Cu 1.98
O 0.5780 0.9114 0.4988  1 Te 1.96, 1 Cu 1.98
O 0.6058 0.2500 0.0000  2 Te 2.01
O 0.6058 0.2500 0.5000  2 Te 2.01
O 0.7321 0.1117 0.7500  2 Te 1.97-2.10
O 0.7321 0.3883 0.2500  2 Te 1.97-2.10
O 0.7390 0.7315 0.7500  1 Te 1.93
O 0.7390 0.7685 0.2500  1 Te 1.93
O 0.9564 0.6000 0.0086  1 Te 1.89, 1 Cu 1.96
O 0.9564 0.6000 0.4914  1 Te 1.89, 1 Cu 1.96
O 0.9564 0.9000 0.5086  1 Te 1.89, 1 Cu 1.96
O 0.9564 0.9000 0.9914  1 Te 1.89, 1 Cu 1.96

Output
Total magnetization, μB/f.u.: 1.00
Energy of formation from the pure elements, kcal/mol of atoms: -32.63
Final energy, eV per atom: -5.408
Symmetry: No. 57
MP2020-corrected energy, eV/cell: -257.19



Record 5
Computed, not measured: a relaxed CuPdO2 crystal at the PBE-GGA level of DFT.

a = 5.2913 Å, b = 4.2644 Å, c = 4.2963 Å
α = 90.00°, β = 90.00°, γ = 90.00°
Closest atoms and distances in Å follow each position.
Fractional positions:
Cu 0.0000 0.0000 0.0000  4 O 1.97
Cu 0.5000 0.0000 0.5000  4 O 1.97
Pd 0.0000 0.5000 0.5000  4 O 2.05
Pd 0.5000 0.5000 0.0000  4 O 2.05
O 0.2500 0.2315 0.2500  2 Cu 1.97, 2 Pd 2.05
O 0.2500 0.7685 0.7500  2 Cu 1.97, 2 Pd 2.05
O 0.7500 0.2315 0.2500  2 Cu 1.97, 2 Pd 2.05
O 0.7500 0.7685 0.7500  2 Cu 1.97, 2 Pd 2.05

Output
Energy of formation from the pure elements, kcal/mol of atoms: -20.39
Final energy, eV per atom: -5.334
Symmetry: No. 53
MP2020-corrected energy, eV/cell: -45.42



Record 6
Computed, not measured: a relaxed CuPdO2 crystal at the PBE-GGA level of DFT.

a = 2.9710 Å, b = 3.0721 Å, c = 5.3142 Å
α = 90.00°, β = 90.00°, γ = 90.00°
Closest atoms and distances in Å follow each position.
Fractional positions:
Cu 0.0000 0.0000 0.0000  4 O 1.96
Pd 0.5000 0.5000 0.5000  4 O 2.07
O 0.5000 0.0000 0.2402  2 Cu 1.96, 2 Pd 2.07
O 0.5000 0.0000 0.7598  2 Cu 1.96, 2 Pd 2.07

Output
Energy of formation from the pure elements, kcal/mol of atoms: -19.97
Final energy, eV per atom: -5.316
Symmetry: No. 47
MP2020-corrected energy, eV/cell: -22.64



Record 7
Computed, not measured: a relaxed Pr2CuO4 crystal at the PBE-GGA level of DFT.

a = 6.8511 Å, b = 6.8511 Å, c = 6.8511 Å
α = 146.09°, β = 146.09°, γ = 48.71°
Closest atoms and distances in Å follow each position.
Fractional positions:
Pr 0.1496 0.1496 0.0000  4 O 2.36
Pr 0.8504 0.8504 0.0000  4 O 2.36
Cu 0.5000 0.5000 0.0000  4 O 2.00
O 0.0000 0.5000 0.5000  2 Cu 2.00
O 0.2500 0.7500 0.5000  4 Pr 2.36
O 0.5000 0.0000 0.5000  2 Cu 2.00
O 0.7500 0.2500 0.5000  4 Pr 2.36

Output
Energy of formation from the pure elements, kcal/mol of atoms: -67.83
Final energy, eV per atom: -7.328
Symmetry: No. 139
MP2020-corrected energy, eV/cell: -54.04



Record 8
Computed, not measured: a relaxed Pr2CuO4 crystal at the PBE-GGA level of DFT.

a = 6.9927 Å, b = 6.9927 Å, c = 5.5835 Å
α = 90.00°, β = 90.00°, γ = 135.63°
Closest atoms and distances in Å follow each position.
Fractional positions:
Pr 0.1387 0.8613 0.9834  4 O 2.32-2.55
Pr 0.3613 0.6387 0.4834  4 O 2.32-2.55
Pr 0.6387 0.3613 0.5166  4 O 2.32-2.55
Pr 0.8613 0.1387 0.0166  4 O 2.32-2.55
Cu 0.0000 0.0000 0.5000  4 O 1.93
Cu 0.5000 0.5000 0.0000  4 O 1.93
O 0.1860 0.8140 0.5685  2 Pr 2.32-2.40, 1 Cu 2.44
O 0.2349 0.2651 0.7500  2 Cu 1.93
O 0.2651 0.2349 0.2500  2 Cu 1.93
O 0.3140 0.6860 0.0685  2 Pr 2.32-2.40, 1 Cu 2.44
O 0.6860 0.3140 0.9315  2 Pr 2.32-2.40, 1 Cu 2.44
O 0.7349 0.7651 0.7500  2 Cu 1.93
O 0.7651 0.7349 0.2500  2 Cu 1.93
O 0.8140 0.1860 0.4315  2 Pr 2.32-2.40, 1 Cu 2.44

Output
Total magnetization, μB/f.u.: 0.00
Energy of formation from the pure elements, kcal/mol of atoms: -66.38
Final energy, eV per atom: -7.265
Symmetry: No. 64
MP2020-corrected energy, eV/cell: -107.20



Record 9
Computed, not measured: a relaxed Pr2CuO4 crystal at the PBE-GGA level of DFT.

a = 7.0678 Å, b = 7.0678 Å, c = 7.0678 Å
α = 148.91°, β = 148.91°, γ = 44.54°
Closest atoms and distances in Å follow each position.
Fractional positions:
Pr 0.1378 0.1378 0.0000  1 O 2.33
Pr 0.8622 0.8622 0.0000  1 O 2.33
Cu 0.5000 0.5000 0.0000  4 O 1.89
O 0.0000 0.5000 0.5000  2 Cu 1.89
O 0.3161 0.3161 0.0000  1 Pr 2.33, 1 Cu 2.41
O 0.5000 0.0000 0.5000  2 Cu 1.89
O 0.6839 0.6839 0.0000  1 Pr 2.33, 1 Cu 2.41

Output
Total magnetization, μB/f.u.: 0.01
Energy of formation from the pure elements, kcal/mol of atoms: -65.97
Final energy, eV per atom: -7.247
Symmetry: No. 139
MP2020-corrected energy, eV/cell: -53.48



Record 10
Computed, not measured: a relaxed PrCuSO crystal at the PBE-GGA level of DFT.

a = 3.9688 Å, b = 3.9688 Å, c = 8.4952 Å
α = 90.00°, β = 90.00°, γ = 90.00°
Closest atoms and distances in Å follow each position.
Fractional positions:
Pr 0.2500 0.2500 0.1471  4 O 2.35
Pr 0.7500 0.7500 0.8529  4 O 2.35
Cu 0.2500 0.7500 0.5000  4 S 2.42
Cu 0.7500 0.2500 0.5000  4 S 2.42
S 0.2500 0.2500 0.6629  4 Cu 2.42
S 0.7500 0.7500 0.3371  4 Cu 2.42
O 0.2500 0.7500 0.0000  4 Pr 2.35
O 0.7500 0.2500 0.0000  4 Pr 2.35

Output
Total magnetization, μB/f.u.: 0.00
Energy of formation from the pure elements, kcal/mol of atoms: -51.76
Final energy, eV per atom: -6.438
Symmetry: No. 129
MP2020-corrected energy, eV/cell: -53.89



Record 11
Computed, not measured: a relaxed Sr2PrTlCu2O7 crystal at the PBE-GGA level of DFT.

a = 3.8670 Å, b = 3.8670 Å, c = 12.3387 Å
α = 90.00°, β = 90.00°, γ = 90.00°
Closest atoms and distances in Å follow each position.
Fractional positions:
Sr 0.0000 0.0000 0.2031  5 O 2.51-2.76
Sr 0.0000 0.0000 0.7969  5 O 2.51-2.76
Pr 0.0000 0.0000 0.5000  8 O 2.50
Tl 0.5000 0.5000 0.0000  2 O 2.12
Cu 0.5000 0.5000 0.3549  4 O 1.94
Cu 0.5000 0.5000 0.6451  4 O 1.94
O 0.0000 0.0000 0.0000  2 Sr 2.51, 4 Tl 2.73
O 0.0000 0.5000 0.3720  2 Cu 1.94
O 0.0000 0.5000 0.6280  2 Cu 1.94
O 0.5000 0.0000 0.3720  2 Cu 1.94
O 0.5000 0.0000 0.6280  2 Cu 1.94
O 0.5000 0.5000 0.1715  1 Tl 2.12, 1 Cu 2.26
O 0.5000 0.5000 0.8285  1 Tl 2.12, 1 Cu 2.26

Output
Total magnetization, μB/f.u.: 0.00
Energy of formation from the pure elements, kcal/mol of atoms: -50.85
Final energy, eV per atom: -5.940
Symmetry: No. 123
MP2020-corrected energy, eV/cell: -82.02



Record 12
Computed, not measured: a relaxed Cu4PtO5 crystal at the PBE-GGA level of DFT.

a = 4.2378 Å, b = 5.1890 Å, c = 10.7716 Å
α = 90.00°, β = 100.21°, γ = 90.00°
Closest atoms and distances in Å follow each position.
Fractional positions:
Cu 0.0000 0.0000 0.0000  4 O 1.95
Cu 0.0829 0.5000 0.1990  4 O 1.98-2.00
Cu 0.2048 0.0000 0.3976  4 O 1.96-1.98
Cu 0.3965 0.0000 0.8043  4 O 1.95-1.96
Cu 0.5000 0.5000 0.0000  4 O 1.98
Cu 0.6035 0.0000 0.1957  4 O 1.95-1.96
Cu 0.7952 0.0000 0.6024  4 O 1.96-1.98
Cu 0.9171 0.5000 0.8010  4 O 1.98-2.00
Pt 0.3059 0.5000 0.6045  4 O 2.03-2.05
Pt 0.6941 0.5000 0.3955  4 O 2.03-2.05
O 0.0000 0.2434 0.5000  2 Cu 1.98, 2 Pt 2.05
O 0.0000 0.7566 0.5000  2 Cu 1.98, 2 Pt 2.05
O 0.2030 0.2488 0.9033  4 Cu 1.95-1.98
O 0.2030 0.7512 0.9033  4 Cu 1.95-1.98
O 0.3924 0.2454 0.2925  3 Cu 1.96-2.00, 1 Pt 2.03
O 0.3924 0.7546 0.2925  3 Cu 1.96-2.00, 1 Pt 2.03
O 0.6076 0.2454 0.7075  3 Cu 1.96-2.00, 1 Pt 2.03
O 0.6076 0.7546 0.7075  3 Cu 1.96-2.00, 1 Pt 2.03
O 0.7970 0.2488 0.0967  4 Cu 1.95-1.98
O 0.7970 0.7512 0.0967  4 Cu 1.95-1.98

Output
Total magnetization, μB/f.u.: 0.15
Energy of formation from the pure elements, kcal/mol of atoms: -20.65
Final energy, eV per atom: -5.273
Symmetry: No. 10
MP2020-corrected energy, eV/cell: -112.33



> Which of these has the lowest MP2020-corrected energy?

CuTe2PbO7